(1)
Below is a geometry-optimized KNb5O13 structure, with properties calculated at the GGA-PBE level.

## Properties
calculated volume	14.28	A^3/atom
formation energy	-3.00	eV/atom
crystal system	orthorhombic

```
data_KNb5O13
_cell_length_a 5.800
_cell_length_b 10.957
_cell_length_c 17.080
_cell_angle_alpha 90.00
_cell_angle_beta 90.00
_cell_angle_gamma 90.00
_symmetry_space_group_name_H-M 'P b c m'
_symmetry_Int_Tables_number 57
loop_
_symmetry_equiv_pos_as_xyz
'x,y,z'
'-x,-y,-z'
'-x,-y,z+1/2'
'x,y,-z+1/2'
'x,-y+1/2,-z'
'-x,y+1/2,z'
'-x,y+1/2,-z+1/2'
'x,-y+1/2,z+1/2'
loop_
_atom_site_label
_atom_site_type_symbol
_atom_site_fract_x
_atom_site_fract_y
_atom_site_fract_z
_atom_site_occupancy
K1 K 0.212 0.174 0.250 1
Nb1 Nb 0.168 0.565 0.076 1
Nb2 Nb 0.323 0.250 0.000 1
Nb3 Nb 0.340 0.633 0.637 1
O1 O 0.091 0.518 0.635 1
O2 O 0.129 0.108 0.504 1
O3 O 0.132 0.717 0.128 1
O4 O 0.354 0.623 0.512 1
O5 O 0.367 0.653 0.750 1
O6 O 0.407 0.248 0.110 1
O7 O 0.408 0.006 0.636 1
```

(2)
Below is a geometry-optimized CaTm2Te4 structure, with properties calculated at the GGA-PBE level.

## Properties
calculated volume	34.27	A^3/atom
formation energy	-1.68	eV/atom
crystal system	monoclinic

```
data_CaTm2Te4
_cell_length_a 7.458
_cell_length_b 4.370
_cell_length_c 7.732
_cell_angle_alpha 90.00
_cell_angle_beta 107.83
_cell_angle_gamma 90.00
_symmetry_space_group_name_H-M 'P 1 2/m 1'
_symmetry_Int_Tables_number 10
loop_
_symmetry_equiv_pos_as_xyz
'x,y,z'
'-x,-y,-z'
'-x,y,-z'
'x,-y,z'
loop_
_atom_site_label
_atom_site_type_symbol
_atom_site_fract_x
_atom_site_fract_y
_atom_site_fract_z
_atom_site_occupancy
Ca1 Ca 0.000 0.000 0.000 1
Tm1 Tm 0.000 0.500 0.500 1
Tm2 Tm 0.500 0.000 0.500 1
Te1 Te 0.246 0.000 0.735 1
Te2 Te 0.261 0.500 0.258 1
```

(3)
Below is a geometry-optimized Pr2InAu2 structure, with properties calculated at the GGA-PBE level.

## Properties
calculated volume	26.47	A^3/atom
formation energy	-0.76	eV/atom
crystal system	tetragonal

```
data_Pr2InAu2
_cell_length_a 8.243
_cell_length_b 8.243
_cell_length_c 3.896
_cell_angle_alpha 90.00
_cell_angle_beta 90.00
_cell_angle_gamma 90.00
_symmetry_space_group_name_H-M 'P 4/m b m'
_symmetry_Int_Tables_number 127
_symmetry_space_group_name_Hall '-P 4 2ab'
loop_
_atom_site_label
_atom_site_type_symbol
_atom_site_fract_x
_atom_site_fract_y
_atom_site_fract_z
_atom_site_occupancy
Pr1 Pr 0.175 0.325 0.000 1
In1 In 0.000 0.000 0.500 1
Au1 Au 0.125 0.625 0.500 1
```

(4)
Below is a geometry-optimized YAl2N3 structure, with properties calculated at the GGA-PBE level.

## Properties
calculated volume	12.67	A^3/atom
formation energy	-1.58	eV/atom
crystal system	orthorhombic

```
data_YAl2N3
_cell_length_a 10.187
_cell_length_b 5.784
_cell_length_c 5.162
_cell_angle_alpha 90.00
_cell_angle_beta 90.00
_cell_angle_gamma 90.00
_symmetry_space_group_name_H-M 'C m c 21'
_symmetry_Int_Tables_number 36
loop_
_symmetry_equiv_pos_as_xyz
'x,y,z'
'-x,-y,z+1/2'
'-x,y,z'
'x,-y,z+1/2'
'x+1/2,y+1/2,z'
'-x+1/2,-y+1/2,z+1/2'
'-x+1/2,y+1/2,z'
'x+1/2,-y+1/2,z+1/2'
loop_
_atom_site_label
_atom_site_type_symbol
_atom_site_fract_x
_atom_site_fract_y
_atom_site_fract_z
_atom_site_occupancy
Y1 Y 0.000 0.192 0.000 1
Al1 Al 0.175 0.335 0.524 1
N1 N 0.000 0.210 0.469 1
N2 N 0.194 0.362 0.889 1
```

Copy entry 1 word for word.
Below is a geometry-optimized KNb5O13 structure, with properties calculated at the GGA-PBE level.

## Properties
calculated volume	14.28	A^3/atom
formation energy	-3.00	eV/atom
crystal system	orthorhombic

```
data_KNb5O13
_cell_length_a 5.800
_cell_length_b 10.957
_cell_length_c 17.080
_cell_angle_alpha 90.00
_cell_angle_beta 90.00
_cell_angle_gamma 90.00
_symmetry_space_group_name_H-M 'P b c m'
_symmetry_Int_Tables_number 57
loop_
_symmetry_equiv_pos_as_xyz
'x,y,z'
'-x,-y,-z'
'-x,-y,z+1/2'
'x,y,-z+1/2'
'x,-y+1/2,-z'
'-x,y+1/2,z'
'-x,y+1/2,-z+1/2'
'x,-y+1/2,z+1/2'
loop_
_atom_site_label
_atom_site_type_symbol
_atom_site_fract_x
_atom_site_fract_y
_atom_site_fract_z
_atom_site_occupancy
K1 K 0.212 0.174 0.250 1
Nb1 Nb 0.168 0.565 0.076 1
Nb2 Nb 0.323 0.250 0.000 1
Nb3 Nb 0.340 0.633 0.637 1
O1 O 0.091 0.518 0.635 1
O2 O 0.129 0.108 0.504 1
O3 O 0.132 0.717 0.128 1
O4 O 0.354 0.623 0.512 1
O5 O 0.367 0.653 0.750 1
O6 O 0.407 0.248 0.110 1
O7 O 0.408 0.006 0.636 1
```